Record 1
This record from the Materials Project database describes crystalline CaNdCoO4 at its relaxed geometry. The functional is PBE+U.

Cell lengths 5.3293, 12.1736, 5.3447 Å; angles 90.00, 90.00, 90.00 degrees
Space group Cmcm (No. 63)
One atom of each set of equivalent atoms:
Ca: 0.0000 0.1062 0.2500 [4 per cell]
Nd: 0.0000 0.3887 0.2500 [4 per cell]
Co: 0.0000 0.2488 0.7500 [4 per cell]
O: 0.0000 0.0813 0.7500 [4 per cell]
O: 0.0000 0.4221 0.7500 [4 per cell]
O: 0.2500 0.2500 0.0000 [8 per cell]

## Properties
Calculated total energy: -193.4 eV per cell
Total energy after the MP2020 corrections: -7.533 eV/atom
Energy relative to the lowest polymorph listed for this composition: 5.7 meV per atom


Record 2
This record from the Materials Project database describes crystalline Mn13Si2SbO24 at its relaxed geometry. The functional is PBE+U.

Cell lengths 11.8249, 11.8249, 11.1596 Å; angles 90.00, 90.00, 120.00 degrees
Space group P31m (No. 157)
One atom of each set of equivalent atoms:
Mn: 0.0000 0.1619 0.0000 [3 per cell]
Mn: 0.0000 0.3382 0.7607 [3 per cell]
Mn: 0.0000 0.5225 0.5276 [3 per cell]
Mn: 0.0000 0.8328 0.2615 [3 per cell]
Mn: 0.0000 0.8340 0.7715 [3 per cell]
Mn: 0.1585 0.3302 0.5293 [6 per cell]
Mn: 0.1684 0.6727 0.7595 [6 per cell]
Mn: 0.1692 0.6703 0.2609 [6 per cell]
Mn: 0.1711 0.5072 0.9925 [6 per cell]
Si: 0.0000 0.0000 0.4964 [1 per cell]
Si: 0.0000 0.6674 0.0190 [3 per cell]
Si: 0.3333 0.6667 0.5038 [2 per cell]
Sb: 0.0000 0.3405 0.2620 [3 per cell]
O: 0.0000 0.0000 0.0442 [1 per cell]
O: 0.0000 0.0000 0.3456 [1 per cell]
O: 0.0000 0.1301 0.5444 [3 per cell]
O: 0.0000 0.1392 0.8258 [3 per cell]
O: 0.0000 0.1900 0.1722 [3 per cell]
O: 0.0000 0.3354 0.9629 [3 per cell]
O: 0.0000 0.3547 0.5608 [3 per cell]
O: 0.0000 0.4927 0.3524 [3 per cell]
O: 0.0000 0.5382 0.7047 [3 per cell]
O: 0.0000 0.6694 0.1683 [3 per cell]
O: 0.0000 0.6923 0.4948 [3 per cell]
O: 0.0000 0.7962 0.9675 [3 per cell]
O: 0.1291 0.6694 0.9658 [6 per cell]
O: 0.1429 0.8163 0.7059 [6 per cell]
O: 0.1483 0.3419 0.3534 [6 per cell]
O: 0.1480 0.4869 0.1681 [6 per cell]
O: 0.1895 0.5269 0.8142 [6 per cell]
O: 0.2077 0.6743 0.5550 [6 per cell]
O: 0.3333 0.6667 0.0292 [2 per cell]
O: 0.3333 0.6667 0.3542 [2 per cell]

## Properties
Calculated total energy: -910.4 eV per cell
Total energy after the MP2020 corrections: -8.541 eV/atom


no.,calculated volume (Å³/atom),energy of formation (meV/atom),total magnetic moment (μB/f.u.)
1,12.4,-2723,0.0
2,11.3,-2220,56.0